No. 1
Na6Sc2Ga2Si3S3O24 | the Materials Project database | PBE | relaxed; E_form = -2.571 eV/atom
1.0
-7.127 4.015 -3.926
1.984 -8.492 -1.986
-13.124 -6.615 16.773
Ga S O Si Na Sc
6 9 72 9 18 6
Cartesian
-11.587 1.601 1.901 Ga
-5.046 -6.643 2.661 Ga
-13.445 -8.709 5.110 Ga
-6.665 -1.210 0.061 Ga
-10.686 -3.183 4.971 Ga
-13.210 -4.695 8.030 Ga
-10.224 -2.753 8.189 S
-12.513 -12.927 12.206 S
-7.062 -4.535 4.871 S
-11.340 -6.206 10.817 S
-6.681 -2.053 -3.586 S
-6.936 -4.761 0.019 S
-4.403 -8.288 5.497 S
-15.178 -9.174 11.580 S
-3.176 -1.898 -0.714 S
-4.547 -2.037 -0.183 O
-2.858 -5.741 -2.249 O
-11.283 -9.339 12.947 O
-9.815 -2.838 6.739 O
-16.022 -8.226 8.147 O
-14.607 -6.081 8.258 O
-15.704 -7.832 11.917 O
-14.491 -1.263 5.775 O
-15.225 -10.089 12.759 O
-9.599 -10.031 10.603 O
-5.804 -8.429 5.947 O
-6.119 0.522 -0.307 O
-4.013 -7.515 1.320 O
-11.744 -7.490 14.990 O
-12.369 -2.406 4.911 O
-7.551 -11.533 9.814 O
-10.035 -5.613 10.529 O
-12.976 -9.822 14.988 O
-9.973 -7.339 6.448 O
-3.928 -9.637 5.086 O
-0.735 -5.469 -0.396 O
-13.322 -12.506 13.394 O
-12.482 -5.685 10.055 O
-7.403 -5.724 5.690 O
-8.520 -1.060 0.198 O
-10.837 -5.004 5.104 O
-11.536 -3.367 8.430 O
-14.180 -3.660 9.374 O
-17.398 -5.669 11.394 O
-10.663 -3.658 2.610 O
-4.960 1.365 -2.596 O
-5.808 -5.341 0.807 O
-16.329 -2.478 10.246 O
-3.138 -1.085 -1.948 O
-8.241 -5.366 0.382 O
-6.265 -4.939 3.686 O
-12.716 -9.596 6.584 O
-6.331 -1.269 1.950 O
-15.289 -5.348 13.324 O
-9.851 -1.540 4.217 O
-7.117 2.585 -1.844 O
-3.792 -5.193 2.685 O
-2.623 -3.265 -0.938 O
-11.208 -7.681 10.484 O
-6.610 -5.039 -1.404 O
-6.551 -7.737 2.248 O
-6.916 -1.832 -2.149 O
-11.970 -9.941 9.022 O
-11.307 -13.598 12.723 O
-12.204 -11.749 11.370 O
-5.424 -1.389 -4.038 O
-8.403 -9.784 6.568 O
-11.693 -6.091 12.263 O
-1.853 -8.805 0.496 O
-8.420 -8.206 4.143 O
-5.331 -1.507 4.389 O
-4.334 -7.312 4.349 O
-12.039 -5.976 7.323 O
-14.006 -3.836 6.570 O
-6.249 -3.674 5.824 O
-6.999 -3.311 0.325 O
-8.239 -3.766 4.437 O
-7.599 -7.514 8.054 O
-2.266 -1.208 0.270 O
-16.101 -9.790 10.569 O
-6.577 -3.466 -4.003 O
-2.370 -3.053 2.562 O
-12.090 -7.291 4.905 O
-13.808 -9.068 11.055 O
-10.519 0.309 1.040 O
-9.272 -7.763 1.617 O
-9.103 -3.290 8.972 O
-5.340 -0.510 3.082 Si
-2.739 -4.299 3.579 Si
-14.751 -2.187 9.789 Si
-8.056 -8.372 2.576 Si
-5.790 1.843 -1.248 Si
-11.210 -6.352 5.968 Si
-15.496 -6.990 7.194 Si
-13.942 -2.750 5.350 Si
-11.605 -9.044 14.516 Si
-7.943 0.804 1.890 Na
-14.850 -5.527 10.532 Na
-6.576 -9.653 8.434 Na
-20.160 -2.736 12.856 Na
-16.094 -4.055 7.895 Na
-3.314 -5.555 0.295 Na
-12.961 -7.775 8.560 Na
-11.610 -7.833 2.643 Na
-17.425 -7.616 9.962 Na
-9.762 -8.698 8.508 Na
-1.572 -7.628 -1.531 Na
-16.914 -3.522 12.387 Na
-11.777 -1.421 2.723 Na
-10.540 -9.328 5.188 Na
-7.823 -1.652 5.536 Na
-5.173 -3.320 2.173 Na
-0.607 -3.224 0.647 Na
-8.586 -2.430 2.320 Na
-17.068 -6.560 13.156 Sc
-9.120 2.908 -1.366 Sc
-18.154 -1.717 10.237 Sc
-8.057 -7.663 6.061 Sc
-1.339 -4.388 -2.313 Sc
-11.523 -9.739 10.969 Sc

***

No. 2
Na2Sc4Ga4SiS11O48 | the Materials Project database | PBE | relaxed; E_form = -2.307 eV/atom
1.0
-7.569 -14.873 -4.680
8.630 0.411 0.801
-1.714 -5.975 21.736
O Sc S Ga Na Si
144 12 33 12 6 3
Cartesian
5.057 -5.665 7.326 O
-2.040 -14.234 18.902 O
-4.206 -10.888 15.542 O
-5.159 -13.927 8.183 O
2.708 -4.265 12.590 O
1.993 -11.376 13.420 O
0.412 -6.078 8.274 O
-1.757 -7.338 12.748 O
2.743 -9.326 11.482 O
2.927 -2.547 5.564 O
-0.983 -3.403 6.064 O
-4.215 -15.204 12.970 O
-0.289 -12.621 2.567 O
-6.475 -16.354 2.139 O
2.440 -13.856 17.872 O
-3.366 -10.975 6.264 O
-1.933 -7.311 7.747 O
2.128 -8.733 18.139 O
0.904 -8.328 12.681 O
4.375 -2.838 7.892 O
-5.502 -19.213 16.117 O
-1.121 -10.416 -1.042 O
-2.260 -13.779 1.720 O
-4.793 -10.798 3.808 O
3.947 -8.166 15.844 O
-5.320 -12.977 -0.704 O
-0.788 -9.970 3.281 O
1.542 -6.367 4.108 O
-1.331 -18.526 16.321 O
-3.533 -17.556 16.691 O
-1.955 -19.112 13.607 O
5.802 -3.970 15.617 O
-5.988 -16.661 16.726 O
1.538 -6.725 16.093 O
2.562 -9.717 7.100 O
1.104 -8.144 10.244 O
0.135 -15.586 13.567 O
1.146 -13.003 5.002 O
-2.936 -14.604 -1.001 O
-0.624 -15.016 2.930 O
-3.137 -10.717 10.614 O
-1.756 -12.234 7.495 O
0.102 -10.488 14.639 O
-2.495 -9.521 14.674 O
-5.732 -14.779 10.386 O
4.661 -3.712 10.438 O
-6.298 -16.881 12.387 O
-3.775 -17.767 12.353 O
0.818 -3.422 -0.082 O
5.350 -3.892 1.185 O
2.592 -6.943 11.759 O
-1.214 -10.181 11.969 O
-0.919 -7.555 3.557 O
0.367 -10.008 19.051 O
3.763 -6.700 3.115 O
-2.756 -15.708 10.372 O
2.283 -5.852 18.994 O
-3.282 -9.385 -0.648 O
-0.896 -16.655 9.117 O
1.755 -11.693 15.825 O
-1.431 -5.360 -0.790 O
-2.313 -9.127 19.091 O
1.513 -6.262 -0.766 O
2.291 -9.523 20.468 O
4.450 -7.762 21.136 O
-1.712 -11.630 18.351 O
-5.092 -12.834 -3.156 O
4.722 -8.059 7.707 O
-1.103 -14.264 9.460 O
0.365 -3.650 8.590 O
1.320 -1.267 4.376 O
-3.421 -16.016 5.159 O
0.332 -12.860 14.235 O
4.272 -9.675 14.042 O
3.151 -7.449 0.458 O
-5.424 -12.413 10.002 O
2.164 -4.761 7.351 O
-7.965 -18.313 13.247 O
5.681 -3.543 5.490 O
0.586 -10.234 5.746 O
-5.270 -16.790 7.416 O
3.514 -5.221 4.974 O
-0.758 -4.904 4.254 O
4.927 -1.194 1.830 O
-4.725 -14.998 1.243 O
4.673 -7.530 18.703 O
0.887 -15.404 5.436 O
-1.499 -4.981 12.242 O
1.124 -4.281 2.184 O
1.204 -8.636 -0.337 O
-2.301 -13.661 -3.182 O
-0.040 -14.121 0.718 O
-0.426 -7.856 15.328 O
-1.614 -16.992 18.088 O
0.105 -5.514 19.989 O
2.492 -11.067 18.685 O
-3.271 -13.362 5.954 O
3.160 -7.632 5.307 O
1.737 -6.739 21.217 O
0.483 -17.082 11.754 O
-1.805 -16.211 15.778 O
-2.417 -8.763 2.027 O
-0.075 -5.493 14.875 O
-2.226 -14.070 13.706 O
-2.654 -8.911 4.469 O
-4.600 -12.326 1.992 O
2.793 -2.861 1.238 O
-3.895 -12.958 17.624 O
5.170 -5.827 12.358 O
-2.591 -15.473 7.961 O
0.386 -8.731 7.570 O
1.009 -15.034 16.307 O
-5.143 -17.603 9.697 O
-1.630 -5.516 1.641 O
-1.500 -13.329 16.427 O
-0.968 -11.667 10.137 O
0.916 -7.097 1.455 O
1.855 -10.928 3.264 O
3.553 -9.553 2.313 O
1.938 -4.944 9.800 O
-7.019 -18.143 8.253 O
-2.850 -11.755 -0.156 O
-1.531 -12.054 5.045 O
1.260 -13.149 9.953 O
3.979 -5.500 16.606 O
7.374 -2.114 4.590 O
0.609 -1.923 1.757 O
-3.137 -6.726 0.121 O
4.486 -6.570 9.539 O
6.564 -2.252 9.460 O
1.680 -11.396 -1.162 O
-1.295 -6.529 10.477 O
-3.043 -10.901 -2.464 O
0.759 -15.280 18.736 O
-1.466 -9.313 9.692 O
-6.801 -14.204 -2.231 O
0.856 -11.092 8.040 O
0.598 -13.891 7.242 O
-0.608 -6.313 17.118 O
-4.384 -13.698 14.759 O
-5.832 -14.571 5.421 O
-3.894 -12.851 12.530 O
-0.701 -14.920 -1.947 O
6.148 -6.359 20.245 O
-1.357 -10.735 19.991 Sc
3.682 -5.223 11.039 Sc
-5.182 -12.553 16.261 Sc
0.597 -9.724 -2.110 Sc
-0.809 -8.937 13.599 Sc
7.445 -3.481 14.924 Sc
-4.206 -15.181 6.728 Sc
3.145 -6.955 17.375 Sc
-4.890 -11.291 11.630 Sc
-4.562 -16.407 11.280 Sc
-0.488 -19.537 14.682 Sc
-0.728 -14.458 15.125 Sc
-5.569 -17.924 8.329 S
-0.780 -13.888 1.980 S
0.887 -16.760 13.136 S
-2.366 -5.454 0.341 S
1.677 -7.362 0.196 S
1.056 -11.628 14.532 S
5.383 -7.573 19.986 S
1.843 -8.167 11.548 S
-1.702 -8.805 3.334 S
-5.313 -11.102 2.443 S
-1.692 -10.471 10.602 S
-1.843 -15.528 9.239 S
2.040 -1.381 5.664 S
5.220 -6.783 8.292 S
-2.146 -14.812 -2.256 S
1.686 -15.101 17.610 S
3.010 -6.472 4.378 S
1.828 -9.805 19.075 S
-2.472 -12.155 6.204 S
1.244 -4.845 8.516 S
-2.563 -10.631 -1.083 S
1.533 -5.631 20.237 S
-6.045 -12.945 -2.016 S
-3.665 -13.949 13.492 S
-5.913 -13.687 9.426 S
-1.512 -3.666 4.701 S
1.100 -9.962 7.121 S
-3.961 -9.760 14.622 S
1.333 -3.113 1.252 S
0.110 -6.569 15.862 S
1.348 -14.110 5.980 S
-2.016 -6.273 11.764 S
-2.048 -17.318 16.719 S
-5.112 -18.163 17.745 Ga
-7.813 -15.739 -1.488 Ga
4.239 -9.129 6.138 Ga
-0.468 -7.715 9.195 Ga
7.950 -1.728 8.417 Ga
-0.161 -12.732 8.696 Ga
3.960 -4.036 6.629 Ga
-3.752 -13.424 0.333 Ga
0.159 -11.493 4.228 Ga
4.443 -2.288 0.181 Ga
0.049 -5.837 2.676 Ga
4.584 -7.929 1.761 Ga
-4.798 -17.298 14.421 Na
-3.965 -14.359 3.608 Na
-0.226 -6.793 5.972 Na
-5.406 -13.412 19.354 Na
-1.106 -9.881 16.842 Na
7.693 -2.583 11.603 Na
4.939 -2.507 9.385 Si
-2.284 -13.056 17.810 Si
-2.763 -19.028 12.202 Si

***

No. 3
Na4ScGaSi2SO12 | the Materials Project database | PBE | relaxed; E_form = -2.648 eV/atom
1.0
9.072 0.027 0.006
-4.512 7.872 0.003
0.017 0.015 22.335
O S Si Sc Na Ga
72 6 12 6 24 6
Cartesian
5.294 4.244 16.609 O
0.635 1.606 15.384 O
0.928 1.315 1.999 O
1.854 5.068 19.277 O
-3.565 6.678 9.108 O
-1.747 5.525 10.606 O
3.582 3.988 14.399 O
1.532 0.222 13.176 O
0.946 6.616 16.780 O
3.865 1.229 20.549 O
2.898 2.827 3.243 O
8.038 1.427 13.124 O
6.106 2.826 20.571 O
8.025 1.381 6.941 O
-1.694 4.963 7.974 O
0.728 3.556 10.505 O
5.244 0.956 3.094 O
3.958 6.448 13.178 O
0.665 3.817 16.798 O
-0.679 1.419 20.405 O
6.355 2.424 11.821 O
1.187 1.401 18.013 O
7.343 0.229 1.985 O
0.770 6.860 1.755 O
5.175 6.463 2.005 O
-0.602 3.577 21.771 O
5.716 4.001 3.188 O
3.989 4.266 11.717 O
3.427 1.332 11.704 O
3.573 6.468 20.336 O
1.122 3.802 8.096 O
5.151 1.247 9.463 O
-0.998 3.814 12.892 O
5.527 1.486 16.540 O
7.308 0.305 18.030 O
3.961 0.959 14.334 O
-0.654 3.843 5.771 O
1.873 5.509 21.686 O
-2.951 7.644 20.382 O
2.992 7.797 9.198 O
-1.001 6.654 5.700 O
3.377 6.493 4.293 O
5.638 1.166 0.678 O
-2.681 7.663 4.404 O
1.820 0.250 6.807 O
1.043 4.028 1.835 O
5.192 4.314 0.556 O
3.553 1.202 5.473 O
5.444 3.942 9.422 O
5.273 6.202 17.946 O
6.360 2.894 14.243 O
-0.606 6.923 19.155 O
3.006 2.516 16.636 O
2.797 2.359 0.571 O
3.533 4.063 20.572 O
-1.070 3.873 19.145 O
-1.710 5.453 16.829 O
3.964 6.184 6.899 O
-3.407 6.421 15.528 O
-0.678 6.723 12.947 O
-0.620 1.704 4.298 O
0.749 1.595 9.160 O
-1.003 6.689 21.807 O
2.830 2.834 9.399 O
1.641 5.013 12.960 O
-1.560 5.135 1.828 O
2.896 7.639 15.385 O
1.517 5.423 5.800 O
3.849 4.050 5.529 O
1.192 6.659 10.596 O
6.069 2.422 5.472 O
0.620 6.914 7.976 O
7.182 2.651 13.041 S
2.668 0.017 5.615 S
1.341 2.949 9.297 S
2.695 5.284 20.478 S
5.858 0.349 1.898 S
5.875 5.597 16.733 S
6.424 0.079 16.667 Si
1.918 2.632 1.922 Si
3.183 0.369 13.022 Si
1.355 2.329 16.673 Si
1.340 7.622 9.281 Si
3.291 4.918 13.068 Si
-2.666 5.273 9.272 Si
7.737 2.360 5.633 Si
-1.308 7.596 20.477 Si
-1.337 2.927 20.454 Si
3.158 5.559 5.615 Si
5.873 4.984 1.880 Si
0.040 5.414 11.566 Sc
-0.094 5.162 0.424 Sc
9.049 0.055 3.376 Sc
0.028 0.163 18.978 Sc
0.010 5.292 18.194 Sc
4.538 2.658 21.956 Sc
-2.879 5.597 12.917 Na
-1.139 2.688 1.932 Na
1.695 7.559 13.107 Na
4.585 7.791 11.172 Na
7.351 2.396 9.197 Na
2.917 0.207 9.375 Na
1.309 7.891 5.660 Na
2.955 5.444 1.955 Na
0.148 5.317 14.887 Na
-1.720 7.620 1.746 Na
2.837 5.008 16.603 Na
5.902 5.281 20.567 Na
6.205 4.953 5.662 Na
6.163 0.364 20.340 Na
3.401 0.087 16.796 Na
4.646 2.689 7.457 Na
0.029 5.136 3.763 Na
3.401 5.317 9.374 Na
1.635 2.952 5.483 Na
1.655 2.300 20.536 Na
0.130 0.052 0.007 Na
1.308 2.632 13.112 Na
7.477 2.841 16.816 Na
4.583 2.525 18.592 Na
4.331 7.743 7.828 Ga
4.572 2.925 4.148 Ga
4.562 7.902 14.501 Ga
-0.015 5.264 7.095 Ga
4.546 2.672 10.803 Ga
4.355 2.492 15.273 Ga